[1]
VASP calculation (PBE) on crystalline CaPbI4 at its relaxed geometry.

Output
The value obtained for the magnetic moment is 0.000 μB/atom. As for the energy with MP2020 corrections: -3.327 eV/atom. As for the formation energy from the elements: -1.36 eV per atom. Its space-group type is Cmmm. The calculated volume is 45.53 Å³/atom.

The structure in extended XYZ format:
```
6
Lattice="5.329 -5.375 0.000 5.329 5.375 0.000 0.000 0.000 4.769" Properties=species:S:1:pos:R:3 pbc="T T T"
Ca 0.000 0.000 0.000
Pb 5.329 0.000 2.385
I 2.054 0.000 2.385
I 5.329 2.194 0.000
I 5.329 -2.194 0.000
I 8.603 0.000 2.385
```

***

[2]
VASP calculation (PBE) on crystalline Tm3Ge at its relaxed geometry.

Output
The value obtained for the magnetic moment is 0.058 μB/atom. As for the formation energy from the elements: -0.28 eV per atom. Its space-group type is P6_3/mmc. The calculated volume is 24.79 Å³/atom.

The structure in extended XYZ format:
```
8
Lattice="6.583 0.000 0.000 -3.291 5.701 0.000 0.000 0.000 5.284" Properties=species:S:1:pos:R:3 pbc="T T T"
Tm 0.000 1.964 1.321
Tm -1.590 4.719 1.321
Tm 1.701 0.982 3.963
Tm 1.590 4.719 1.321
Tm 4.882 0.982 3.963
Tm 3.291 3.737 3.963
Ge 0.000 3.801 3.963
Ge 3.291 1.900 1.321
```

***

[3]
VASP calculation (PBE) on crystalline Dy2CuO4 at its relaxed geometry.

Output
The value obtained for the magnetic moment is 0.000 μB/atom. As for the energy with MP2020 corrections: -7.823 eV/atom. As for the formation energy from the elements: -3.09 eV per atom. Its space-group type is I4/mmm. The calculated volume is 12.59 Å³/atom.

The structure in extended XYZ format:
```
7
Lattice="-1.937 1.937 5.873 1.937 -1.937 5.873 1.937 1.937 -5.873" Properties=species:S:1:pos:R:3 pbc="T T T"
Dy 0.000 0.000 1.784
Dy 0.000 0.000 9.961
Cu 0.000 0.000 5.873
O 1.937 0.000 0.000
O 1.937 0.000 2.936
O 0.000 1.937 0.000
O 0.000 1.937 2.936
```

***

[4]
VASP calculation (PBE) on crystalline Pa3Zn at its relaxed geometry.

Output
The value obtained for the magnetic moment is 0.056 μB/atom. As for the formation energy from the elements: 0.07 eV per atom. Its space-group type is Pm-3m. The calculated volume is 22.92 Å³/atom.

The structure in extended XYZ format:
```
4
Lattice="4.509 0.000 0.000 0.000 4.509 0.000 0.000 0.000 4.509" Properties=species:S:1:pos:R:3 pbc="T T T"
Pa 0.000 0.000 2.254
Pa 0.000 2.254 0.000
Pa 2.254 0.000 0.000
Zn 2.254 2.254 2.254
```

***

[5]
VASP calculation (PBE) on crystalline Mg6MnB at its relaxed geometry.

Output
The value obtained for the magnetic moment is 0.449 μB/atom. As for the formation energy from the elements: 0.43 eV per atom. Its offset from the most stable computed form is 43 meV per atom. The calculated volume is 18.62 Å³/atom.

The structure in extended XYZ format:
```
16
Lattice="4.674 0.000 0.000 0.000 6.060 0.000 0.000 0.000 10.518" Properties=species:S:1:pos:R:3 pbc="T T T"
Mg 2.337 1.513 4.385
Mg 2.337 4.547 4.385
Mg 0.000 4.514 0.929
Mg 0.000 1.546 0.929
Mg 0.000 0.000 3.450
Mg 0.000 3.030 3.400
Mg 2.337 4.543 9.644
Mg 2.337 1.517 9.644
Mg 0.000 1.484 6.189
Mg 0.000 4.576 6.189
Mg 0.000 3.030 8.709
Mg 0.000 0.000 8.659
Mn 2.337 0.000 1.774
Mn 2.337 3.030 7.033
B 2.337 3.030 1.784
B 2.337 0.000 7.043
```

***

[6]
VASP calculation (PBE) on crystalline CaAsO5 at its relaxed geometry.

Output
The value obtained for the magnetic moment is 0.429 μB/atom. As for the energy with MP2020 corrections: -6.026 eV/atom. As for the formation energy from the elements: -1.54 eV per atom. Its space-group type is Pbcn. Its offset from the most stable computed form is 28 meV per atom. The calculated volume is 15.07 Å³/atom.

The structure in extended XYZ format:
```
56
Lattice="6.782 0.000 0.000 0.000 7.723 0.000 0.000 0.000 16.116" Properties=species:S:1:pos:R:3 pbc="T T T"
Ca 0.914 1.435 0.870
Ca 0.914 6.288 8.928
Ca 2.477 2.427 8.928
Ca 2.477 5.296 0.870
Ca 4.305 2.427 15.246
Ca 4.305 5.296 7.188
Ca 5.868 1.435 7.188
Ca 5.868 6.288 15.246
As 1.069 3.317 14.261
As 1.069 4.406 6.203
As 2.322 0.545 6.203
As 2.322 7.178 14.261
As 4.460 0.545 1.855
As 4.460 7.178 9.913
As 5.713 3.317 9.913
As 5.713 4.406 1.855
O 0.169 2.232 9.414
O 0.169 5.491 1.356
O 0.328 2.896 5.830
O 0.328 4.827 13.888
O 0.645 0.133 10.766
O 0.645 7.590 2.708
O 1.322 0.493 7.615
O 1.322 7.230 15.673
O 1.346 1.078 4.847
O 1.346 6.645 12.905
O 2.045 2.783 12.905
O 2.045 4.940 4.847
O 2.069 3.369 15.673
O 2.069 4.354 7.615
O 2.746 3.728 2.708
O 2.746 3.995 10.766
O 3.063 0.966 13.888
O 3.063 6.757 5.830
O 3.222 1.630 1.356
O 3.222 6.093 9.414
O 3.560 1.630 6.702
O 3.560 6.093 14.760
O 3.719 0.966 10.286
O 3.719 6.757 2.228
O 4.036 3.728 5.350
O 4.036 3.995 13.408
O 4.713 3.369 8.501
O 4.713 4.354 0.443
O 4.737 2.783 11.269
O 4.737 4.940 3.211
O 5.436 1.078 3.211
O 5.436 6.645 11.269
O 5.460 0.493 0.443
O 5.460 7.230 8.501
O 6.137 0.133 13.408
O 6.137 7.590 5.350
O 6.454 2.896 2.228
O 6.454 4.827 10.286
O 6.613 2.232 14.760
O 6.613 5.491 6.702
```